[1]
Density functional theory data (r²SCAN) for a relaxed PaN crystal.

Cell lengths 3.497, 3.497, 3.497 Å; angles 60.00, 60.00, 60.00 degrees
Positions (direct):
N  0.500  0.500  0.500
Pa  0.000  0.000  0.000

symmetry	No. 225
E_form	-1.83	eV per atom

---

[2]
Density functional theory data (r²SCAN) for a relaxed TePtPb crystal.

Cell lengths 6.672, 6.672, 6.672 Å; angles 90.00, 90.00, 90.00 degrees
Positions (direct):
Pt  0.508  0.008  0.492
Pt  0.492  0.508  0.008
Pt  0.992  0.992  0.992
Pt  0.008  0.492  0.508
Pb  0.632  0.632  0.632
Pb  0.368  0.132  0.868
Pb  0.132  0.868  0.368
Pb  0.868  0.368  0.132
Te  0.629  0.871  0.129
Te  0.371  0.371  0.371
Te  0.871  0.129  0.629
Te  0.129  0.629  0.871

symmetry	No. 198
E_form	-0.43	eV per atom

---

[3]
Density functional theory data (r²SCAN) for a relaxed PbSO4 crystal.

Cell lengths 5.406, 6.961, 8.438 Å; angles 90.00, 90.00, 90.00 degrees
Positions (direct):
O  0.473  0.694  0.581
O  0.973  0.306  0.419
O  0.250  0.540  0.194
O  0.750  0.407  0.092
O  0.473  0.806  0.081
O  0.750  0.040  0.306
O  0.027  0.806  0.081
O  0.527  0.306  0.419
O  0.750  0.460  0.806
O  0.250  0.907  0.408
O  0.973  0.194  0.919
O  0.250  0.593  0.908
O  0.250  0.960  0.694
O  0.750  0.093  0.592
O  0.527  0.194  0.919
O  0.027  0.694  0.581
Pb  0.250  0.168  0.191
Pb  0.750  0.668  0.309
Pb  0.750  0.832  0.809
Pb  0.250  0.332  0.691
S  0.250  0.683  0.064
S  0.750  0.183  0.436
S  0.250  0.817  0.564
S  0.750  0.317  0.936

symmetry	No. 62
E_form	-1.61	eV per atom

---

> Which of these has the lowest E_form?

PaN